Entry A
Here is an optimized crystal structure of K4MgNb2Ag2S8 from the Materials Project. Energies are from PBE.

Cell and atoms, written as extended XYZ:
```
17
Lattice="5.833 0.177 1.523 3.106 6.879 0.811 -0.023 0.089 12.015" Properties=species:S:1:pos:R:3 pbc="T T T"
K 1.805 1.807 8.190
K 4.945 5.244 2.525
K 3.984 1.898 11.765
K 7.020 5.336 6.504
Ag 5.961 1.897 4.199
Ag 3.032 5.249 9.837
S 4.510 0.366 2.813
S 7.529 6.819 9.487
S 3.900 3.068 5.564
S 1.260 0.550 4.875
S 2.072 3.252 2.178
S 6.903 3.960 12.158
S 4.355 6.711 11.494
S 5.115 3.853 8.857
Nb 2.961 1.808 3.760
Nb 5.964 5.336 10.540
Mg 5.145 1.897 7.326
```

=====

Entry B
Here is an optimized crystal structure of K4MgNb2Ag2S8 from the Materials Project. Energies are from PBE.

Cell and atoms, written as extended XYZ:
```
17
Lattice="5.806 0.002 1.238 2.905 6.782 0.619 -0.731 -0.002 12.822" Properties=species:S:1:pos:R:3 pbc="T T T"
S 1.679 3.277 2.314
S 4.210 0.475 2.693
S 6.030 3.379 12.305
S 4.485 3.379 9.402
S 3.579 6.416 11.821
S 3.761 3.278 5.334
S 1.235 0.476 4.956
S 6.933 6.419 9.891
Ag 5.624 1.708 4.445
Ag 2.352 4.679 10.238
Mg 5.260 1.391 10.851
K 6.553 5.071 6.464
K 2.340 1.913 7.733
K 2.371 1.909 12.736
K 4.697 5.063 2.418
Nb 2.721 1.850 3.824
Nb 5.256 5.091 10.854
```

=====

Short version: entry B is the least stable of them.

=====

Entry A
Here is an optimized crystal structure of KMgAg2SbS4 from the Materials Project. Energies are from PBE.

Cell and atoms, written as extended XYZ:
```
9
Lattice="6.701 0.496 -3.106 -3.789 6.180 -1.499 -0.667 -0.999 6.192" Properties=species:S:1:pos:R:3 pbc="T T T"
S 3.367 1.513 -1.775
S 2.365 4.981 -1.075
S 0.504 2.128 1.674
S -1.831 2.537 4.484
Sb -2.021 3.065 2.019
Mg 1.291 2.961 -2.042
Ag 2.932 1.570 1.954
Ag 0.098 5.908 -1.610
K 2.634 6.039 -4.166
```

=====

Entry B
Here is an optimized crystal structure of KMgAg2SbS4 from the Materials Project. Energies are from PBE.

Cell and atoms, written as extended XYZ:
```
9
Lattice="5.862 -0.051 -2.047 -3.462 5.576 -0.526 1.275 1.330 7.409" Properties=species:S:1:pos:R:3 pbc="T T T"
K 3.338 6.001 4.453
Ag 0.296 4.924 0.568
Ag 3.561 1.995 4.475
S -1.758 6.035 3.407
S 1.258 3.912 2.508
S 2.454 0.746 -0.285
S 5.387 3.489 3.851
Mg 1.996 1.679 1.830
Sb -1.028 3.629 3.560
```

=====

Entry C
Here is an optimized crystal structure of KMgAg2SbS4 from the Materials Project. Energies are from PBE.

Cell and atoms, written as extended XYZ:
```
9
Lattice="6.245 -1.173 -5.224 -3.613 5.517 1.319 -1.211 1.849 9.129" Properties=species:S:1:pos:R:3 pbc="T T T"
S -2.450 3.742 9.157
S -3.669 5.603 5.031
S -0.487 4.004 3.560
S 2.770 0.874 -1.664
Ag 0.061 3.973 0.078
Ag 1.368 2.209 3.984
K -3.156 4.819 1.341
Sb -2.301 3.514 5.178
Mg -1.251 1.910 2.393
```

=====

Short version: entry B is the least stable of them.